[1]
DFT (GGA-PBE) results for a geometry-optimized HgTe3H12C4N structure.

Total DFT energy (no corrections)   -4.67 eV per atom
M_tot   0.000 μB/atom

abc: 10.5622 22.2962 12.4349
angles: 90.00 122.26 90.00
Atoms (fractional coordinates):
Hg (0.0044, 0.1116, 0.1004)
Hg (0.0044, 0.3884, 0.6004)
Hg (0.2078, 0.5357, 0.7458)
Hg (0.2078, 0.9643, 0.2458)
Hg (0.7922, 0.0357, 0.7542)
Hg (0.7922, 0.4643, 0.2542)
Hg (0.9956, 0.6116, 0.3996)
Hg (0.9956, 0.8884, 0.8996)
Te (0.1075, 0.0860, 0.9195)
Te (0.1075, 0.4140, 0.4195)
Te (0.1269, 0.7269, 0.4877)
Te (0.1269, 0.7731, 0.9877)
Te (0.1596, 0.7211, 0.7252)
Te (0.1596, 0.7789, 0.2252)
Te (0.2014, 0.0738, 0.3509)
Te (0.2014, 0.4262, 0.8509)
Te (0.2515, 0.5227, 0.5283)
Te (0.2515, 0.9773, 0.0283)
Te (0.3912, 0.6401, 0.8664)
Te (0.3912, 0.8599, 0.3664)
Te (0.6088, 0.1401, 0.6336)
Te (0.6088, 0.3599, 0.1336)
Te (0.7485, 0.0227, 0.9717)
Te (0.7485, 0.4773, 0.4717)
Te (0.7986, 0.5738, 0.1491)
Te (0.7986, 0.9262, 0.6491)
Te (0.8404, 0.2211, 0.7748)
Te (0.8404, 0.2789, 0.2748)
Te (0.8731, 0.2269, 0.0123)
Te (0.8731, 0.2731, 0.5123)
Te (0.8925, 0.5860, 0.5805)
Te (0.8925, 0.9140, 0.0805)
H (0.0501, 0.5834, 0.0494)
H (0.0501, 0.9166, 0.5494)
H (0.1250, 0.5461, 0.9653)
H (0.1250, 0.9539, 0.4653)
H (0.1440, 0.5038, 0.2045)
H (0.1440, 0.9962, 0.7045)
H (0.1593, 0.2007, 0.6307)
H (0.1593, 0.2993, 0.1307)
H (0.1750, 0.6227, 0.0160)
H (0.1750, 0.8773, 0.5160)
H (0.1829, 0.2273, 0.2907)
H (0.1829, 0.2727, 0.7907)
H (0.2116, 0.1388, 0.7396)
H (0.2116, 0.3612, 0.2396)
H (0.2137, 0.2082, 0.8893)
H (0.2137, 0.2918, 0.3893)
H (0.2241, 0.6033, 0.2836)
H (0.2241, 0.8967, 0.7836)
H (0.2258, 0.0348, 0.6276)
H (0.2258, 0.4652, 0.1276)
H (0.3204, 0.1545, 0.6697)
H (0.3204, 0.3455, 0.1697)
H (0.3311, 0.2085, 0.2095)
H (0.3311, 0.2915, 0.7095)
H (0.3373, 0.6458, 0.2431)
H (0.3373, 0.8542, 0.7431)
H (0.3406, 0.0132, 0.7932)
H (0.3406, 0.4868, 0.2932)
H (0.3465, 0.2303, 0.4489)
H (0.3465, 0.2697, 0.9489)
H (0.3854, 0.5153, 0.0796)
H (0.3854, 0.9847, 0.5796)
H (0.4125, 0.1418, 0.9418)
H (0.4125, 0.3582, 0.4418)
H (0.4174, 0.5838, 0.3539)
H (0.4174, 0.9162, 0.8539)
H (0.4348, 0.5924, 0.1211)
H (0.4348, 0.9076, 0.6211)
H (0.4526, 0.7028, 0.4995)
H (0.4526, 0.7972, 0.9995)
H (0.4656, 0.6522, 0.6175)
H (0.4656, 0.8478, 0.1175)
H (0.4809, 0.2414, 0.7368)
H (0.4809, 0.2586, 0.2368)
H (0.4935, 0.0358, 0.2554)
H (0.4935, 0.4642, 0.7554)
H (0.4992, 0.7127, 0.1357)
H (0.4992, 0.7873, 0.6357)
H (0.5008, 0.2127, 0.3643)
H (0.5008, 0.2873, 0.8643)
H (0.5065, 0.5358, 0.2446)
H (0.5065, 0.9642, 0.7446)
H (0.5191, 0.7414, 0.7632)
H (0.5191, 0.7586, 0.2632)
H (0.5344, 0.1522, 0.8825)
H (0.5344, 0.3478, 0.3825)
H (0.5474, 0.2028, 0.0005)
H (0.5474, 0.2972, 0.5005)
H (0.5652, 0.0924, 0.3789)
H (0.5652, 0.4076, 0.8789)
H (0.5826, 0.0838, 0.1461)
H (0.5826, 0.4162, 0.6461)
H (0.5875, 0.6418, 0.5582)
H (0.5875, 0.8582, 0.0582)
H (0.6146, 0.0153, 0.4204)
H (0.6146, 0.4847, 0.9204)
H (0.6535, 0.7303, 0.0511)
H (0.6535, 0.7697, 0.5511)
H (0.6594, 0.5132, 0.7068)
H (0.6594, 0.9868, 0.2068)
H (0.6627, 0.1458, 0.2569)
H (0.6627, 0.3542, 0.7569)
H (0.6689, 0.7085, 0.2905)
H (0.6689, 0.7915, 0.7905)
H (0.6796, 0.6545, 0.8303)
H (0.6796, 0.8455, 0.3303)
H (0.7742, 0.5348, 0.8724)
H (0.7742, 0.9652, 0.3724)
H (0.7759, 0.1033, 0.2164)
H (0.7759, 0.3967, 0.7164)
H (0.7863, 0.7082, 0.6107)
H (0.7863, 0.7918, 0.1107)
H (0.7884, 0.6388, 0.7604)
H (0.7884, 0.8612, 0.2604)
H (0.8171, 0.7273, 0.2093)
H (0.8171, 0.7727, 0.7093)
H (0.8250, 0.1227, 0.4840)
H (0.8250, 0.3773, 0.9840)
H (0.8407, 0.7007, 0.8693)
H (0.8407, 0.7993, 0.3693)
H (0.8560, 0.0038, 0.2955)
H (0.8560, 0.4962, 0.7955)
H (0.8750, 0.0461, 0.5347)
H (0.8750, 0.4539, 0.0347)
H (0.9499, 0.0834, 0.4506)
H (0.9499, 0.4166, 0.9506)
C (0.1464, 0.5792, 0.0387)
C (0.1464, 0.9208, 0.5387)
C (0.2438, 0.0014, 0.6994)
C (0.2438, 0.4986, 0.1994)
C (0.2530, 0.1740, 0.7042)
C (0.2530, 0.3260, 0.2042)
C (0.2672, 0.2434, 0.8649)
C (0.2672, 0.2566, 0.3649)
C (0.3171, 0.6012, 0.2683)
C (0.3171, 0.8988, 0.7683)
C (0.4118, 0.5499, 0.1515)
C (0.4118, 0.9501, 0.6515)
C (0.4219, 0.2378, 0.2781)
C (0.4219, 0.2622, 0.7781)
C (0.4720, 0.1747, 0.9186)
C (0.4720, 0.3253, 0.4186)
C (0.5280, 0.6747, 0.5814)
C (0.5280, 0.8253, 0.0814)
C (0.5781, 0.7378, 0.2219)
C (0.5781, 0.7622, 0.7219)
C (0.5882, 0.0499, 0.3485)
C (0.5882, 0.4501, 0.8485)
C (0.6829, 0.1012, 0.2317)
C (0.6829, 0.3988, 0.7317)
C (0.7328, 0.7434, 0.6351)
C (0.7328, 0.7566, 0.1351)
C (0.7470, 0.6740, 0.7958)
C (0.7470, 0.8260, 0.2958)
C (0.7562, 0.5014, 0.8006)
C (0.7562, 0.9986, 0.3006)
C (0.8536, 0.0792, 0.4613)
C (0.8536, 0.4208, 0.9613)
N (0.2784, 0.5577, 0.1631)
N (0.2784, 0.9423, 0.6631)
N (0.3539, 0.2137, 0.8157)
N (0.3539, 0.2863, 0.3157)
N (0.6461, 0.7137, 0.6843)
N (0.6461, 0.7863, 0.1843)
N (0.7216, 0.0577, 0.3369)
N (0.7216, 0.4423, 0.8369)

[2]
DFT (GGA-PBE) results for a geometry-optimized Ho2H4CO7 structure.

Total DFT energy (no corrections)   -6.85 eV per atom
M_tot   0.000 μB/atom

abc: 6.3053 6.0349 15.4662
angles: 90.00 96.98 90.00
Atoms (fractional coordinates):
Ho (0.0788, 0.2363, 0.3185)
Ho (0.0788, 0.2637, 0.8185)
Ho (0.0889, 0.2503, 0.0654)
Ho (0.0889, 0.2497, 0.5654)
Ho (0.9111, 0.7503, 0.4346)
Ho (0.9111, 0.7497, 0.9346)
Ho (0.9212, 0.7363, 0.1815)
Ho (0.9212, 0.7637, 0.6815)
H (0.2795, 0.6684, 0.0714)
H (0.2795, 0.8316, 0.5714)
H (0.3093, 0.5266, 0.4469)
H (0.3093, 0.9734, 0.9469)
H (0.3131, 0.5133, 0.6956)
H (0.3131, 0.9867, 0.1956)
H (0.3224, 0.5323, 0.2085)
H (0.3224, 0.9677, 0.7085)
H (0.6776, 0.0323, 0.2915)
H (0.6776, 0.4677, 0.7915)
H (0.6869, 0.0133, 0.8044)
H (0.6869, 0.4867, 0.3044)
H (0.6907, 0.0266, 0.0531)
H (0.6907, 0.4734, 0.5531)
H (0.7205, 0.1684, 0.4286)
H (0.7205, 0.3316, 0.9286)
C (0.4024, 0.5752, 0.8827)
C (0.4024, 0.9248, 0.3827)
C (0.5976, 0.0752, 0.6173)
C (0.5976, 0.4248, 0.1173)
O (0.1274, 0.6320, 0.0577)
O (0.1274, 0.8680, 0.5577)
O (0.1627, 0.0275, 0.1891)
O (0.1627, 0.4725, 0.6891)
O (0.1727, 0.0507, 0.9479)
O (0.1727, 0.4493, 0.4479)
O (0.1879, 0.0020, 0.7314)
O (0.1879, 0.4980, 0.2314)
O (0.1966, 0.6121, 0.8763)
O (0.1966, 0.8879, 0.3763)
O (0.4548, 0.1197, 0.3555)
O (0.4548, 0.3803, 0.8555)
O (0.4636, 0.2224, 0.5871)
O (0.4636, 0.2776, 0.0871)
O (0.5364, 0.7224, 0.9129)
O (0.5364, 0.7776, 0.4129)
O (0.5452, 0.6197, 0.1445)
O (0.5452, 0.8803, 0.6445)
O (0.8034, 0.1121, 0.6237)
O (0.8034, 0.3879, 0.1237)
O (0.8121, 0.5020, 0.7686)
O (0.8121, 0.9980, 0.2686)
O (0.8273, 0.5507, 0.5521)
O (0.8273, 0.9493, 0.0521)
O (0.8373, 0.5275, 0.3109)
O (0.8373, 0.9725, 0.8109)
O (0.8726, 0.1320, 0.4423)
O (0.8726, 0.3680, 0.9423)

[3]
DFT (GGA-PBE) results for a geometry-optimized HoH15C3O15 structure.

Total DFT energy (no corrections)   -5.90 eV per atom
M_tot   0.000 μB/atom

abc: 6.7436 8.9927 12.1964
angles: 69.76 89.37 69.86
Atoms (fractional coordinates):
Ho (0.1144, 0.0802, 0.2462)
Ho (0.8856, 0.9198, 0.7538)
H (0.0441, 0.5695, 0.6818)
H (0.1772, 0.0006, 0.0285)
H (0.1809, 0.7479, 0.1792)
H (0.2045, 0.3652, 0.8322)
H (0.2133, 0.9938, 0.5050)
H (0.2239, 0.3897, 0.4838)
H (0.2549, 0.3774, 0.1231)
H (0.2699, 0.1482, 0.9909)
H (0.2773, 0.1548, 0.4475)
H (0.3137, 0.8635, 0.9139)
H (0.4429, 0.2976, 0.8859)
H (0.4480, 0.2389, 0.2253)
H (0.4516, 0.3289, 0.4437)
H (0.4614, 0.1644, 0.7658)
H (0.4645, 0.1781, 0.6295)
H (0.5355, 0.8219, 0.3705)
H (0.5386, 0.8356, 0.2342)
H (0.5484, 0.6711, 0.5563)
H (0.5520, 0.7611, 0.7747)
H (0.5571, 0.7024, 0.1141)
H (0.6863, 0.1365, 0.0861)
H (0.7227, 0.8452, 0.5525)
H (0.7301, 0.8518, 0.0091)
H (0.7451, 0.6226, 0.8769)
H (0.7761, 0.6103, 0.5162)
H (0.7867, 0.0062, 0.4950)
H (0.7955, 0.6348, 0.1678)
H (0.8191, 0.2521, 0.8208)
H (0.8228, 0.9994, 0.9715)
H (0.9559, 0.4305, 0.3182)
C (0.0571, 0.7550, 0.3288)
C (0.2382, 0.6691, 0.0132)
C (0.2522, 0.6819, 0.6756)
C (0.7478, 0.3181, 0.3244)
C (0.7618, 0.3309, 0.9868)
C (0.9429, 0.2450, 0.6712)
O (0.0421, 0.6126, 0.3620)
O (0.0503, 0.8531, 0.3840)
O (0.0812, 0.8334, 0.2093)
O (0.0816, 0.6344, 0.7236)
O (0.1477, 0.5754, 0.0021)
O (0.1990, 0.8203, 0.9141)
O (0.2355, 0.0638, 0.0608)
O (0.2365, 0.0669, 0.4293)
O (0.2468, 0.8172, 0.6904)
O (0.3176, 0.2568, 0.1793)
O (0.3266, 0.2597, 0.8689)
O (0.3455, 0.2859, 0.4912)
O (0.3523, 0.6519, 0.1023)
O (0.3783, 0.5927, 0.6288)
O (0.4629, 0.8910, 0.2878)
O (0.5371, 0.1090, 0.7122)
O (0.6217, 0.4073, 0.3712)
O (0.6477, 0.3481, 0.8977)
O (0.6545, 0.7141, 0.5088)
O (0.6734, 0.7403, 0.1311)
O (0.6824, 0.7432, 0.8207)
O (0.7532, 0.1828, 0.3096)
O (0.7635, 0.9331, 0.5707)
O (0.7645, 0.9362, 0.9392)
O (0.8010, 0.1797, 0.0859)
O (0.8523, 0.4246, 0.9979)
O (0.9184, 0.3656, 0.2764)
O (0.9188, 0.1666, 0.7907)
O (0.9497, 0.1469, 0.6160)
O (0.9579, 0.3874, 0.6380)

[4]
DFT (GGA-PBE) results for a geometry-optimized InH36C12S6I3O6 structure.

Total DFT energy (no corrections)   -4.91 eV per atom
M_tot   0.000 μB/atom

abc: 10.0092 10.0092 10.0092
angles: 69.95 69.95 69.95
Atoms (fractional coordinates):
In (0.0000, 0.0000, 0.0000)
H (0.0076, 0.3431, 0.5449)
H (0.0422, 0.6061, 0.8236)
H (0.0484, 0.8464, 0.5163)
H (0.0772, 0.6002, 0.2834)
H (0.1536, 0.4837, 0.9516)
H (0.1764, 0.9578, 0.3939)
H (0.1849, 0.5565, 0.4108)
H (0.2361, 0.5271, 0.7545)
H (0.2455, 0.7639, 0.4729)
H (0.2834, 0.0772, 0.6002)
H (0.3431, 0.5449, 0.0076)
H (0.3939, 0.1764, 0.9578)
H (0.3998, 0.7166, 0.9228)
H (0.4108, 0.1849, 0.5565)
H (0.4435, 0.5892, 0.8151)
H (0.4551, 0.9924, 0.6569)
H (0.4729, 0.2455, 0.7639)
H (0.4837, 0.9516, 0.1536)
H (0.5163, 0.0484, 0.8464)
H (0.5271, 0.7545, 0.2361)
H (0.5449, 0.0076, 0.3431)
H (0.5565, 0.4108, 0.1849)
H (0.5892, 0.8151, 0.4435)
H (0.6002, 0.2834, 0.0772)
H (0.6061, 0.8236, 0.0422)
H (0.6569, 0.4551, 0.9924)
H (0.7166, 0.9228, 0.3998)
H (0.7545, 0.2361, 0.5271)
H (0.7639, 0.4729, 0.2455)
H (0.8151, 0.4435, 0.5892)
H (0.8236, 0.0422, 0.6061)
H (0.8464, 0.5163, 0.0484)
H (0.9228, 0.3998, 0.7166)
H (0.9516, 0.1536, 0.4837)
H (0.9578, 0.3939, 0.1764)
H (0.9924, 0.6569, 0.4551)
C (0.0932, 0.6370, 0.3669)
C (0.1511, 0.5675, 0.8465)
C (0.1535, 0.8489, 0.4325)
C (0.3630, 0.6331, 0.9068)
C (0.3669, 0.0932, 0.6370)
C (0.4325, 0.1535, 0.8489)
C (0.5675, 0.8465, 0.1511)
C (0.6331, 0.9068, 0.3630)
C (0.6370, 0.3669, 0.0932)
C (0.8465, 0.1511, 0.5675)
C (0.8489, 0.4325, 0.1535)
C (0.9068, 0.3630, 0.6331)
S (0.1485, 0.8049, 0.2761)
S (0.1951, 0.7239, 0.8515)
S (0.2761, 0.1485, 0.8049)
S (0.7239, 0.8515, 0.1951)
S (0.8049, 0.2761, 0.1485)
S (0.8515, 0.1951, 0.7239)
I (0.2469, 0.2469, 0.2469)
I (0.5000, 0.5000, 0.5000)
I (0.7531, 0.7531, 0.7531)
O (0.0095, 0.9188, 0.2305)
O (0.0812, 0.7695, 0.9905)
O (0.2305, 0.0095, 0.9188)
O (0.7695, 0.9905, 0.0812)
O (0.9188, 0.2305, 0.0095)
O (0.9905, 0.0812, 0.7695)